Record 1
Density functional theory data (GGA-PBE) for a geometry-optimized Pr2CdRh2 structure.

Computed properties:
ΔH_f (0 K) in eV per atom: -0.5681
Space-group type: P4/mbm, No. 127

a = 7.5853 Å, b = 7.5853 Å, c = 4.0488 Å
α = 90.00°, β = 90.00°, γ = 90.00°
Fractional positions:
Pr1 0.1735 0.3265 0.0000
Pr2 0.3265 0.8265 0.0000
Pr3 0.6735 0.1735 0.0000
Pr4 0.8265 0.6735 0.0000
Cd1 0.0000 0.0000 0.5000
Cd2 0.5000 0.5000 0.5000
Rh1 0.1276 0.6276 0.5000
Rh2 0.3724 0.1276 0.5000
Rh3 0.6276 0.8724 0.5000
Rh4 0.8724 0.3724 0.5000

Record 2
Density functional theory data (GGA-PBE) for a geometry-optimized Pr23Cd4Rh7 structure.

Computed properties:
ΔH_f (0 K) in eV per atom: -0.4280
Spin magnetization in μB per formula unit: 0.11
Space-group type: P6_3mc, No. 186

a = 10.0637 Å, b = 10.0637 Å, c = 22.8308 Å
α = 90.00°, β = 90.00°, γ = 120.00°
Fractional positions:
Pr1 0.0000 0.0000 0.0503
Pr2 0.0000 0.0000 0.5503
Pr3 0.0796 0.5398 0.1381
Pr4 0.0817 0.5409 0.4094
Pr5 0.1271 0.2543 0.6886
Pr6 0.1271 0.8729 0.6886
Pr7 0.2015 0.4030 0.8355
Pr8 0.2015 0.7985 0.8355
Pr9 0.2064 0.4128 0.0000
Pr10 0.2064 0.7936 0.0000
Pr11 0.2069 0.4138 0.2736
Pr12 0.2069 0.7931 0.2736
Pr13 0.2100 0.4199 0.5428
Pr14 0.2100 0.7900 0.5428
Pr15 0.2543 0.1271 0.1886
Pr16 0.3333 0.6667 0.6981
Pr17 0.4030 0.2015 0.3355
Pr18 0.4128 0.2064 0.5000
Pr19 0.4138 0.2069 0.7736
Pr20 0.4199 0.2100 0.0428
Pr21 0.4591 0.5409 0.4094
Pr22 0.4591 0.9183 0.4094
Pr23 0.4602 0.5398 0.1381
Pr24 0.4602 0.9204 0.1381
Pr25 0.5398 0.0796 0.6381
Pr26 0.5398 0.4602 0.6381
Pr27 0.5409 0.0817 0.9094
Pr28 0.5409 0.4591 0.9094
Pr29 0.5801 0.7900 0.5428
Pr30 0.5862 0.7931 0.2736
Pr31 0.5872 0.7936 0.0000
Pr32 0.5970 0.7985 0.8355
Pr33 0.6667 0.3333 0.1981
Pr34 0.7457 0.8729 0.6886
Pr35 0.7900 0.2100 0.0428
Pr36 0.7900 0.5801 0.0428
Pr37 0.7931 0.2069 0.7736
Pr38 0.7931 0.5862 0.7736
Pr39 0.7936 0.2064 0.5000
Pr40 0.7936 0.5872 0.5000
Pr41 0.7985 0.2015 0.3355
Pr42 0.7985 0.5970 0.3355
Pr43 0.8729 0.1271 0.1886
Pr44 0.8729 0.7457 0.1886
Pr45 0.9183 0.4591 0.9094
Pr46 0.9204 0.4602 0.6381
Cd1 0.0000 0.0000 0.3023
Cd2 0.0000 0.0000 0.8023
Cd3 0.1066 0.2133 0.4166
Cd4 0.1066 0.8934 0.4166
Cd5 0.2133 0.1066 0.9166
Cd6 0.7867 0.8934 0.4166
Cd7 0.8934 0.1066 0.9166
Cd8 0.8934 0.7867 0.9166
Rh1 0.0423 0.5212 0.7636
Rh2 0.1437 0.2874 0.1161
Rh3 0.1437 0.8563 0.1161
Rh4 0.2874 0.1437 0.6161
Rh5 0.3333 0.6667 0.9172
Rh6 0.4788 0.5212 0.7636
Rh7 0.4788 0.9577 0.7636
Rh8 0.5212 0.0423 0.2636
Rh9 0.5212 0.4788 0.2636
Rh10 0.6667 0.3333 0.4172
Rh11 0.7126 0.8563 0.1161
Rh12 0.8563 0.1437 0.6161
Rh13 0.8563 0.7126 0.6161
Rh14 0.9577 0.4788 0.2636

Record 3
Density functional theory data (GGA-PBE) for a geometry-optimized Pr23Cd4Ru7 structure.

Computed properties:
ΔH_f (0 K) in eV per atom: -0.2297
Spin magnetization in μB per formula unit: 0.03
Space-group type: P6_3mc, No. 186

a = 10.0493 Å, b = 10.0493 Å, c = 22.5962 Å
α = 90.00°, β = 90.00°, γ = 120.00°
Fractional positions:
Pr1 0.0000 0.0000 0.1362
Pr2 0.0000 0.0000 0.6362
Pr3 0.0799 0.5400 0.2808
Pr4 0.0826 0.5413 0.5500
Pr5 0.1263 0.2526 0.0000
Pr6 0.1263 0.8737 0.0000
Pr7 0.2050 0.4100 0.8535
Pr8 0.2050 0.7950 0.8535
Pr9 0.2072 0.4143 0.1447
Pr10 0.2070 0.4139 0.4159
Pr11 0.2072 0.4143 0.6880
Pr12 0.2072 0.7928 0.1447
Pr13 0.2070 0.7930 0.4159
Pr14 0.2072 0.7928 0.6880
Pr15 0.2526 0.1263 0.5000
Pr16 0.3333 0.6667 0.9887
Pr17 0.4100 0.2050 0.3535
Pr18 0.4143 0.2072 0.1880
Pr19 0.4143 0.2072 0.6447
Pr20 0.4139 0.2070 0.9159
Pr21 0.4587 0.5413 0.5500
Pr22 0.4587 0.9174 0.5500
Pr23 0.4600 0.5400 0.2808
Pr24 0.4600 0.9201 0.2808
Pr25 0.5400 0.0799 0.7808
Pr26 0.5400 0.4600 0.7808
Pr27 0.5413 0.0826 0.0500
Pr28 0.5413 0.4587 0.0500
Pr29 0.5857 0.7928 0.1447
Pr30 0.5861 0.7930 0.4159
Pr31 0.5857 0.7928 0.6880
Pr32 0.5900 0.7950 0.8535
Pr33 0.6667 0.3333 0.4887
Pr34 0.7474 0.8737 0.0000
Pr35 0.7928 0.2072 0.1880
Pr36 0.7928 0.2072 0.6447
Pr37 0.7930 0.2070 0.9159
Pr38 0.7928 0.5857 0.1880
Pr39 0.7928 0.5857 0.6447
Pr40 0.7930 0.5861 0.9159
Pr41 0.7950 0.2050 0.3535
Pr42 0.7950 0.5900 0.3535
Pr43 0.8737 0.1263 0.5000
Pr44 0.8737 0.7474 0.5000
Pr45 0.9174 0.4587 0.0500
Pr46 0.9201 0.4600 0.7808
Cd1 0.0000 0.0000 0.3849
Cd2 0.0000 0.0000 0.8849
Cd3 0.1057 0.2114 0.2727
Cd4 0.1057 0.8943 0.2727
Cd5 0.2114 0.1057 0.7727
Cd6 0.7886 0.8943 0.2727
Cd7 0.8943 0.1057 0.7727
Cd8 0.8943 0.7886 0.7727
Ru1 0.0338 0.5169 0.9247
Ru2 0.1463 0.2925 0.5745
Ru3 0.1463 0.8537 0.5745
Ru4 0.2925 0.1463 0.0745
Ru5 0.3333 0.6667 0.7673
Ru6 0.4831 0.5169 0.9247
Ru7 0.4831 0.9662 0.9247
Ru8 0.5169 0.0338 0.4247
Ru9 0.5169 0.4831 0.4247
Ru10 0.6667 0.3333 0.2673
Ru11 0.7075 0.8537 0.5745
Ru12 0.8537 0.1463 0.0745
Ru13 0.8537 0.7075 0.0745
Ru14 0.9662 0.4831 0.4247

Record 4
Density functional theory data (GGA-PBE) for a geometry-optimized Pr2CdS4 structure.

Computed properties:
Largest piezoelectric modulus in C/m²: 0.98
ΔH_f (0 K) in eV per atom: -1.8384
Spin magnetization in μB per formula unit: 0.00
Space-group type: I-42d, No. 122

a = 7.4965 Å, b = 7.4965 Å, c = 7.4965 Å
α = 110.79°, β = 110.79°, γ = 106.86°
Fractional positions:
Pr1 0.0134 0.1250 0.3884
Pr2 0.3750 0.9866 0.1116
Pr3 0.7366 0.6250 0.6116
Pr4 0.8750 0.2634 0.8884
Cd1 0.2500 0.7500 0.5000
Cd2 0.5000 0.5000 0.0000
S1 0.0072 0.7420 0.1251
S2 0.1178 0.9928 0.7347
S3 0.1331 0.5080 0.7653
S4 0.2580 0.3831 0.2653
S5 0.4920 0.2572 0.6251
S6 0.6169 0.8822 0.8749
S7 0.6322 0.8669 0.3749
S8 0.7428 0.3678 0.2347

Record 5
Density functional theory data (GGA-PBE) for a geometry-optimized Pr6CdSi2S14 structure.

Computed properties:
ΔH_f (0 K) in eV per atom: -1.9039
Spin magnetization in μB per formula unit: 0.00
Space-group type: P3, No. 143

a = 10.3534 Å, b = 10.3534 Å, c = 5.7450 Å
α = 90.00°, β = 90.00°, γ = 120.00°
Fractional positions:
Pr1 0.0247 0.5686 0.0000
Pr2 0.3087 0.0981 0.4982
Pr3 0.4314 0.4561 0.0000
Pr4 0.5439 0.9753 0.0000
Pr5 0.7894 0.6913 0.4982
Pr6 0.9019 0.2106 0.4982
Cd1 0.6667 0.3333 0.7585
Si1 0.0000 0.0000 0.9115
Si2 0.3333 0.6667 0.4140
S1 0.0000 0.0000 0.2799
S2 0.0750 0.8573 0.7683
S3 0.1427 0.2176 0.7683
S4 0.1905 0.4491 0.2697
S5 0.2586 0.8095 0.2697
S6 0.3333 0.6667 0.7814
S7 0.4121 0.1638 0.0056
S8 0.4990 0.4202 0.5150
S9 0.5509 0.7414 0.2697
S10 0.5798 0.0788 0.5150
S11 0.7517 0.5879 0.0056
S12 0.7824 0.9250 0.7683
S13 0.8362 0.2483 0.0056
S14 0.9212 0.5010 0.5150

Record 6
Density functional theory data (GGA-PBE) for a geometry-optimized Pr2CdSn structure.

Computed properties:
ΔH_f (0 K) in eV per atom: -0.5348
Space-group type: Fm-3m, No. 225

a = 5.4934 Å, b = 5.4934 Å, c = 5.4934 Å
α = 60.00°, β = 60.00°, γ = 60.00°
Fractional positions:
Pr1 0.2500 0.2500 0.2500
Pr2 0.7500 0.7500 0.7500
Cd1 0.0000 0.0000 0.0000
Sn1 0.5000 0.5000 0.5000

Record 7
Density functional theory data (GGA-PBE) for a geometry-optimized Sm4CdPt structure.

Computed properties:
ΔH_f (0 K) in eV per atom: -0.5619
Space-group type: F-43m, No. 216

a = 9.9181 Å, b = 9.9181 Å, c = 9.9181 Å
α = 60.00°, β = 60.00°, γ = 60.00°
Fractional positions:
Sm1 0.1850 0.1850 0.8150
Sm2 0.1850 0.8150 0.1850
Sm3 0.1850 0.8150 0.8150
Sm4 0.4000 0.4000 0.4000
Sm5 0.4000 0.4000 0.8000
Sm6 0.4000 0.8000 0.4000
Sm7 0.5592 0.5592 0.9408
Sm8 0.5592 0.9408 0.5592
Sm9 0.5592 0.9408 0.9408
Sm10 0.8000 0.4000 0.4000
Sm11 0.8150 0.1850 0.1850
Sm12 0.8150 0.1850 0.8150
Sm13 0.8150 0.8150 0.1850
Sm14 0.9408 0.5592 0.5592
Sm15 0.9408 0.5592 0.9408
Sm16 0.9408 0.9408 0.5592
Cd1 0.1687 0.1687 0.1687
Cd2 0.1687 0.1687 0.4940
Cd3 0.1687 0.4940 0.1687
Cd4 0.4940 0.1687 0.1687
Pt1 0.1773 0.6076 0.6076
Pt2 0.6076 0.1773 0.6076
Pt3 0.6076 0.6076 0.1773
Pt4 0.6076 0.6076 0.6076

Record 8
Density functional theory data (GGA-PBE) for a geometry-optimized SrCdPt structure.

Computed properties:
ΔH_f (0 K) in eV per atom: -0.6775
Space-group type: Pnma, No. 62

a = 7.5958 Å, b = 4.5613 Å, c = 8.7132 Å
α = 90.00°, β = 90.00°, γ = 90.00°
Fractional positions:
Sr1 0.0298 0.2500 0.1805
Sr2 0.4702 0.7500 0.6805
Sr3 0.5298 0.2500 0.3195
Sr4 0.9702 0.7500 0.8195
Cd1 0.1450 0.2500 0.5656
Cd2 0.3550 0.7500 0.0656
Cd3 0.6450 0.2500 0.9344
Cd4 0.8550 0.7500 0.4344
Pt1 0.2304 0.7500 0.3770
Pt2 0.2696 0.2500 0.8770
Pt3 0.7304 0.7500 0.1230
Pt4 0.7696 0.2500 0.6230

Record 9
Density functional theory data (GGA-PBE) for a geometry-optimized TbCdPt2 structure.

Computed properties:
ΔH_f (0 K) in eV per atom: -0.8122
Space-group type: Fm-3m, No. 225

a = 4.8221 Å, b = 4.8221 Å, c = 4.8221 Å
α = 60.00°, β = 60.00°, γ = 60.00°
Fractional positions:
Tb1 0.0000 0.0000 0.0000
Cd1 0.5000 0.5000 0.5000
Pt1 0.2500 0.2500 0.2500
Pt2 0.7500 0.7500 0.7500

Record 10
Density functional theory data (GGA-PBE) for a geometry-optimized Tb4CdPt structure.

Computed properties:
ΔH_f (0 K) in eV per atom: -0.5979
Space-group type: F-43m, No. 216

a = 9.7544 Å, b = 9.7544 Å, c = 9.7544 Å
α = 60.00°, β = 60.00°, γ = 60.00°
Fractional positions:
Tb1 0.1852 0.1852 0.8148
Tb2 0.1852 0.8148 0.1852
Tb3 0.1852 0.8148 0.8148
Tb4 0.3988 0.3988 0.3988
Tb5 0.3988 0.3988 0.8035
Tb6 0.3988 0.8035 0.3988
Tb7 0.5600 0.5600 0.9400
Tb8 0.5600 0.9400 0.5600
Tb9 0.5600 0.9400 0.9400
Tb10 0.8035 0.3988 0.3988
Tb11 0.8148 0.1852 0.1852
Tb12 0.8148 0.1852 0.8148
Tb13 0.8148 0.8148 0.1852
Tb14 0.9400 0.5600 0.5600
Tb15 0.9400 0.5600 0.9400
Tb16 0.9400 0.9400 0.5600
Cd1 0.1682 0.1682 0.1682
Cd2 0.1682 0.1682 0.4954
Cd3 0.1682 0.4954 0.1682
Cd4 0.4954 0.1682 0.1682
Pt1 0.1786 0.6071 0.6071
Pt2 0.6071 0.1786 0.6071
Pt3 0.6071 0.6071 0.1786
Pt4 0.6071 0.6071 0.6071

Record 11
Density functional theory data (GGA-PBE) for a geometry-optimized ThCdPt2 structure.

Computed properties:
ΔH_f (0 K) in eV per atom: -0.8468
Spin magnetization in μB per formula unit: 0.00
Space-group type: Fm-3m, No. 225

a = 4.9457 Å, b = 4.9457 Å, c = 4.9457 Å
α = 60.00°, β = 60.00°, γ = 60.00°
Fractional positions:
Th1 0.0000 0.0000 0.0000
Cd1 0.5000 0.5000 0.5000
Pt1 0.2500 0.2500 0.2500
Pt2 0.7500 0.7500 0.7500

Record 12
Density functional theory data (GGA-PBE) for a geometry-optimized TmCdPt2 structure.

Computed properties:
ΔH_f (0 K) in eV per atom: -0.8564
Space-group type: Fm-3m, No. 225

a = 4.7688 Å, b = 4.7688 Å, c = 4.7688 Å
α = 60.00°, β = 60.00°, γ = 60.00°
Fractional positions:
Tm1 0.0000 0.0000 0.0000
Cd1 0.5000 0.5000 0.5000
Pt1 0.2500 0.2500 0.2500
Pt2 0.7500 0.7500 0.7500

What is the formula in the sixth record? Pr2CdSn